(1)
Material: HfMg14Al
Method: DFT, PBE
State: optimized geometry

ΔE to the lowest computed polymorph, kJ/mol of atoms: 1.6
Space-group type: P-6m2, No. 187
Size of the total moment, Bohr magnetons per cell: 0.001
Formation energy, meV per atom: 41

abc: 6.356 6.356 10.164
angles: 90.00 90.00 120.00
Fractional coordinates of all 16 atoms:
Mg  0.833  0.667  0.870
Mg  0.165  0.832  0.125
Mg  0.833  0.667  0.380
Mg  0.172  0.836  0.625
Mg  0.664  0.328  0.625
Mg  0.664  0.836  0.625
Mg  0.842  0.171  0.876
Mg  0.329  0.171  0.374
Mg  0.668  0.832  0.125
Mg  0.668  0.335  0.125
Mg  0.329  0.171  0.876
Mg  0.329  0.658  0.876
Mg  0.842  0.171  0.374
Mg  0.329  0.658  0.374
Hf  0.167  0.333  0.625
Al  0.167  0.333  0.125

(2)
Material: CeCoGe
Method: DFT, PBE
State: optimized geometry

Space-group type: P4/nmm, No. 129
Formation energy, meV per atom: -589

abc: 4.191 4.191 6.565
angles: 90.00 90.00 90.00
Fractional coordinates of all 6 atoms:
Co  0.500  0.500  0.000
Co  0.000  0.000  0.000
Ge  0.500  0.000  0.802
Ge  0.000  0.500  0.198
Ce  0.000  0.500  0.693
Ce  0.500  0.000  0.307

(3)
Material: SiO2
Method: DFT, PBE
State: optimized geometry

Space-group type: Imma, No. 74
Size of the total moment, Bohr magnetons per cell: 0.000
Formation energy, meV per atom: -3254

abc: 15.788 15.788 15.788
angles: 148.46 104.64 83.98
Fractional coordinates of all 96 atoms:
Si  0.116  0.051  0.434
Si  0.128  0.342  0.418
Si  0.746  0.180  0.934
Si  0.944  0.733  0.843
Si  0.576  0.658  0.285
Si  0.116  0.682  0.066
Si  0.944  0.101  0.210
Si  0.208  0.127  0.706
Si  0.128  0.710  0.785
Si  0.079  0.498  0.206
Si  0.424  0.710  0.082
Si  0.746  0.813  0.566
Si  0.872  0.658  0.582
Si  0.391  0.101  0.657
Si  0.254  0.820  0.066
Si  0.792  0.873  0.294
Si  0.079  0.873  0.580
Si  0.921  0.502  0.794
Si  0.609  0.899  0.343
Si  0.792  0.498  0.920
Si  0.391  0.733  0.290
Si  0.208  0.502  0.080
Si  0.056  0.899  0.790
Si  0.872  0.290  0.215
Si  0.921  0.127  0.420
Si  0.424  0.342  0.715
Si  0.056  0.267  0.157
Si  0.609  0.267  0.710
Si  0.576  0.290  0.918
Si  0.884  0.318  0.934
Si  0.254  0.187  0.434
Si  0.884  0.949  0.566
O  0.151  0.500  0.151
O  0.787  0.703  0.552
O  0.651  0.703  0.416
O  0.388  0.676  0.141
O  0.087  0.684  0.402
O  0.616  0.073  0.543
O  0.030  0.073  0.957
O  0.787  0.234  0.084
O  0.651  0.234  0.948
O  0.484  0.712  0.339
O  0.102  0.915  0.721
O  0.849  0.500  0.849
O  0.185  0.729  0.044
O  0.213  0.297  0.448
O  0.218  0.316  0.902
O  0.158  0.572  0.050
O  0.102  0.380  0.187
O  0.270  0.020  0.250
O  0.978  0.893  0.550
O  0.349  0.297  0.584
O  0.484  0.145  0.772
O  0.898  0.085  0.279
O  0.307  0.620  0.221
O  0.307  0.085  0.687
O  0.873  0.712  0.728
O  0.865  0.459  0.406
O  0.693  0.915  0.313
O  0.135  0.541  0.594
O  0.900  0.150  0.750
O  0.815  0.271  0.956
O  0.388  0.247  0.712
O  0.127  0.855  0.839
O  0.873  0.145  0.161
O  0.035  0.247  0.359
O  0.970  0.927  0.043
O  0.185  0.141  0.456
O  0.022  0.107  0.450
O  0.349  0.766  0.052
O  0.898  0.620  0.813
O  0.553  0.459  0.094
O  0.100  0.850  0.250
O  0.213  0.766  0.916
O  0.516  0.288  0.661
O  0.158  0.107  0.585
O  0.035  0.676  0.788
O  0.782  0.684  0.098
O  0.913  0.316  0.598
O  0.965  0.753  0.641
O  0.693  0.380  0.779
O  0.612  0.753  0.288
O  0.516  0.855  0.228
O  0.965  0.324  0.212
O  0.151  0.000  0.651
O  0.022  0.572  0.915
O  0.447  0.541  0.906
O  0.842  0.428  0.950
O  0.815  0.859  0.544
O  0.978  0.428  0.085
O  0.849  0.000  0.349
O  0.612  0.324  0.859
O  0.730  0.980  0.750
O  0.384  0.927  0.457
O  0.842  0.893  0.415
O  0.127  0.288  0.272

(4)
Material: MoW3Se2S6
Method: DFT, PBE
State: optimized geometry

ΔE to the lowest computed polymorph, kJ/mol of atoms: 0.0
Space-group type: P3m1, No. 156
Size of the total moment, Bohr magnetons per cell: 0.000
Formation energy, meV per atom: -1023

abc: 3.220 3.220 36.390
angles: 90.00 90.00 120.00
Fractional coordinates of all 12 atoms:
S  0.333  0.667  0.427
S  0.000  0.000  0.239
S  0.000  0.000  0.325
S  0.000  0.000  0.615
S  0.000  0.000  0.701
S  0.333  0.667  0.513
Se  0.333  0.667  0.141
Se  0.333  0.667  0.047
Mo  0.000  0.000  0.094
W  0.333  0.667  0.282
W  0.000  0.000  0.470
W  0.333  0.667  0.658

(5)
Material: Na2Ga2GeS6
Method: DFT, PBE
State: optimized geometry

Space-group type: Fdd2, No. 43
Size of the total moment, Bohr magnetons per cell: 0.001
Formation energy, meV per atom: -1087

abc: 13.119 12.079 7.314
angles: 81.11 65.46 33.42
Fractional coordinates of all 22 atoms:
Na  0.288  0.302  0.877
Na  0.532  0.877  0.302
Na  0.948  0.962  0.718
Na  0.373  0.718  0.962
S  0.370  0.481  0.537
S  0.612  0.537  0.481
S  0.927  0.529  0.291
S  0.713  0.638  0.880
S  0.779  0.947  0.099
S  0.959  0.997  0.323
S  0.175  0.099  0.947
S  0.303  0.471  0.075
S  0.253  0.291  0.529
S  0.151  0.075  0.471
S  0.721  0.323  0.997
S  0.769  0.880  0.638
Ga  0.948  0.284  0.825
Ga  0.425  0.307  0.302
Ga  0.943  0.825  0.284
Ga  0.966  0.302  0.307
Ge  0.917  0.583  0.583
Ge  0.667  0.333  0.333

(6)
Material: FeH3
Method: DFT, PBE
State: optimized geometry

Space-group type: Pm-3m, No. 221
Size of the total moment, Bohr magnetons per cell: 0.653
Formation energy, meV per atom: 147

abc: 2.612 2.612 2.612
angles: 90.00 90.00 90.00
Fractional coordinates of all 4 atoms:
H  0.000  0.500  0.500
H  0.500  0.500  0.000
H  0.500  0.000  0.500
Fe  0.000  0.000  0.000

(7)
Material: GdH22C7NCl2O9
Method: DFT, PBE
State: optimized geometry

Space-group type: P2_1/c, No. 14
Size of the total moment, Bohr magnetons per cell: 28.246
Formation energy, meV per atom: -958

abc: 9.314 15.442 12.652
angles: 90.00 113.70 90.00
Fractional coordinates of all 168 atoms:
N  0.064  0.256  0.369
N  0.936  0.756  0.131
N  0.936  0.744  0.631
N  0.064  0.244  0.869
H  0.854  0.995  0.858
H  0.431  0.714  0.948
H  0.512  0.815  0.760
H  0.710  0.727  0.125
H  0.146  0.005  0.142
H  0.540  0.331  0.874
H  0.587  0.211  0.974
H  0.460  0.669  0.126
H  0.431  0.786  0.448
H  0.816  0.806  0.231
H  0.082  0.661  0.766
H  0.176  0.339  0.993
H  0.918  0.161  0.734
H  0.816  0.694  0.731
H  0.758  0.810  0.982
H  0.135  0.042  0.654
H  0.182  0.668  0.084
H  0.866  0.440  0.026
H  0.182  0.832  0.584
H  0.863  0.227  0.216
H  0.813  0.035  0.958
H  0.955  0.662  0.501
H  0.290  0.273  0.875
H  0.569  0.214  0.552
H  0.818  0.332  0.916
H  0.512  0.685  0.260
H  0.134  0.940  0.474
H  0.242  0.190  0.018
H  0.176  0.707  0.680
H  0.823  0.013  0.230
H  0.871  0.693  0.254
H  0.137  0.773  0.784
H  0.129  0.112  0.910
H  0.137  0.727  0.284
H  0.031  0.379  0.860
H  0.129  0.193  0.246
H  0.184  0.306  0.269
H  0.242  0.310  0.518
H  0.824  0.839  0.507
H  0.488  0.185  0.240
H  0.184  0.194  0.769
H  0.818  0.168  0.416
H  0.460  0.831  0.626
H  0.758  0.690  0.482
H  0.045  0.162  0.999
H  0.824  0.207  0.820
H  0.865  0.542  0.846
H  0.710  0.773  0.625
H  0.146  0.495  0.642
H  0.955  0.838  0.001
H  0.866  0.060  0.526
H  0.129  0.307  0.746
H  0.045  0.338  0.499
H  0.134  0.560  0.974
H  0.051  0.727  0.964
H  0.863  0.273  0.716
H  0.187  0.535  0.542
H  0.051  0.773  0.464
H  0.587  0.289  0.474
H  0.540  0.169  0.374
H  0.969  0.621  0.140
H  0.871  0.888  0.090
H  0.918  0.339  0.234
H  0.129  0.388  0.410
H  0.871  0.612  0.590
H  0.187  0.965  0.042
H  0.082  0.839  0.266
H  0.176  0.793  0.180
H  0.969  0.879  0.640
H  0.488  0.315  0.740
H  0.871  0.807  0.754
H  0.413  0.789  0.026
H  0.177  0.987  0.770
H  0.854  0.505  0.358
H  0.135  0.458  0.154
H  0.823  0.487  0.730
H  0.824  0.661  0.007
H  0.949  0.273  0.036
H  0.865  0.958  0.346
H  0.290  0.227  0.375
H  0.031  0.121  0.360
H  0.177  0.513  0.270
H  0.176  0.161  0.493
H  0.569  0.286  0.052
H  0.413  0.711  0.526
H  0.949  0.227  0.536
H  0.813  0.465  0.458
H  0.824  0.293  0.320
O  0.767  0.020  0.874
O  0.499  0.639  0.203
O  0.778  0.987  0.282
O  0.346  0.989  0.363
O  0.338  0.509  0.038
O  0.484  0.908  0.077
O  0.654  0.489  0.137
O  0.035  0.593  0.948
O  0.965  0.093  0.552
O  0.510  0.418  0.599
O  0.516  0.092  0.923
O  0.654  0.011  0.637
O  0.499  0.861  0.703
O  0.501  0.139  0.297
O  0.610  0.227  0.493
O  0.610  0.273  0.993
O  0.484  0.592  0.577
O  0.035  0.907  0.448
O  0.233  0.520  0.626
O  0.662  0.491  0.962
O  0.510  0.082  0.099
O  0.490  0.918  0.901
O  0.338  0.991  0.538
O  0.662  0.009  0.462
O  0.501  0.361  0.797
O  0.767  0.480  0.374
O  0.516  0.408  0.423
O  0.222  0.013  0.718
O  0.778  0.513  0.782
O  0.222  0.487  0.218
O  0.490  0.582  0.401
O  0.965  0.407  0.052
O  0.390  0.727  0.007
O  0.346  0.511  0.863
O  0.233  0.980  0.126
O  0.390  0.773  0.507
Cl  0.933  0.066  0.132
Cl  0.067  0.934  0.868
Cl  0.456  0.181  0.669
Cl  0.456  0.319  0.169
Cl  0.067  0.566  0.368
Cl  0.544  0.819  0.331
Cl  0.933  0.434  0.632
Cl  0.544  0.681  0.831
C  0.492  0.950  0.993
C  0.409  0.506  0.971
C  0.591  0.494  0.029
C  0.905  0.280  0.278
C  0.062  0.670  0.018
C  0.095  0.780  0.222
C  0.876  0.672  0.544
C  0.825  0.745  0.190
C  0.943  0.671  0.073
C  0.943  0.829  0.573
C  0.175  0.245  0.310
C  0.508  0.050  0.007
C  0.876  0.828  0.044
C  0.057  0.171  0.427
C  0.938  0.170  0.482
C  0.175  0.255  0.810
C  0.508  0.450  0.507
C  0.938  0.330  0.982
C  0.057  0.329  0.927
C  0.905  0.220  0.778
C  0.591  0.006  0.529
C  0.492  0.550  0.493
C  0.095  0.720  0.722
C  0.825  0.755  0.690
C  0.124  0.172  0.956
C  0.124  0.328  0.456
C  0.062  0.830  0.518
C  0.409  0.994  0.471
Gd  0.495  0.011  0.748
Gd  0.505  0.989  0.252
Gd  0.495  0.489  0.248
Gd  0.505  0.511  0.752

(8)
Material: ZrP2
Method: DFT, PBE
State: optimized geometry

Space-group type: Pnma, No. 62
Formation energy, meV per atom: -961

abc: 3.527 6.515 8.822
angles: 90.00 90.00 90.00
Fractional coordinates of all 12 atoms:
P  0.750  0.097  0.644
P  0.250  0.903  0.356
P  0.250  0.403  0.144
P  0.250  0.890  0.961
P  0.750  0.110  0.039
P  0.750  0.610  0.461
P  0.750  0.597  0.856
P  0.250  0.390  0.539
Zr  0.750  0.720  0.163
Zr  0.750  0.220  0.337
Zr  0.250  0.280  0.837
Zr  0.250  0.780  0.663

Values for DFT total energy, eV/cell, ordered as above
-35.44 -38.86 -758.73 -90.78 -94.15 -17.52 -975.77 -89.02
Values for V, Å³ per cell, ordered as above
355.59 115.31 1943.83 326.68 536.34 17.81 1666.14 202.70